First-principles (PBE-GGA) data for BaLiZrBiO6 after structural relaxation, as listed in the Materials Project.

Properties
Volume in Å³/cell: 149.85
E_tot in Ha/atom: -0.246
M_tot in μB per cell: 0.000
Energy relative to the elements in eV per formula unit: -25.08
E (MP2020) in eV/atom: -7.1031

abc: 5.962 5.962 5.962
angles: 60.00 60.00 60.00
Fractional positions:
O 0.251 0.251 0.749
O 0.749 0.251 0.749
O 0.251 0.749 0.251
O 0.749 0.749 0.251
O 0.749 0.251 0.251
O 0.251 0.749 0.749
Bi 0.000 0.000 0.000
Li 0.750 0.750 0.750
Zr 0.500 0.500 0.500
Ba 0.250 0.250 0.250